Density functional theory data (PBE-GGA) for an optimized crystal structure of Li2DyIn.

POSCAR file:
```
Li2DyIn
1.0
0.0000 3.4297 3.4297
3.4297 0.0000 3.4297
3.4297 3.4297 0.0000
Li Dy In
2 1 1
direct
0.2500 0.2500 0.2500 Li
0.7500 0.7500 0.7500 Li
0.0000 0.0000 0.0000 Dy
0.5000 0.5000 0.5000 In
```

density	6.0	g/cm3
DFT formation energy	-0.28	eV per atom
symmetry	No. 225
crystal system	cubic